[1]
## K2Co3P4H4O16 (GGA+U)

Data for crystalline K2Co3P4H4O16 at its relaxed geometry.

```
data_K2Co3P4H4O16
_chemical_formula_sum 'K4 Co6 P8 H8 O32'
_cell_length_a 9.214
_cell_length_b 8.177
_cell_length_c 9.308
_cell_angle_alpha 90.00
_cell_angle_beta 99.27
_cell_angle_gamma 90.00
_symmetry_space_group_name_H-M 'P 1 21/c 1'
_symmetry_Int_Tables_number 14
_symmetry_space_group_name_Hall '-P 2ybc'
loop_
_atom_site_label
_atom_site_type_symbol
_atom_site_fract_x
_atom_site_fract_y
_atom_site_fract_z
_atom_site_occupancy
K1 K 0.074 0.225 0.478 1
Co1 Co 0.367 0.643 0.505 1
Co2 Co 0.500 0.000 0.500 1
P1 P 0.198 0.569 0.765 1
P2 P 0.398 0.198 0.209 1
H1 H 0.121 0.511 0.299 1
H2 H 0.279 0.027 0.765 1
O1 O 0.046 0.558 0.809 1
O2 O 0.197 0.659 0.621 1
O3 O 0.226 0.505 0.346 1
O4 O 0.238 0.125 0.234 1
O5 O 0.320 0.627 0.889 1
O6 O 0.362 0.135 0.638 1
O7 O 0.461 0.076 0.111 1
O8 O 0.490 0.204 0.363 1
```

Values from the calculation:
total magnetic moment: 9.00 μB per formula unit
calculated volume: 11.9 Å³/atom
total DFT energy (no corrections): -6.38 eV/atom
DFT formation energy: -2173 meV per atom

[2]
## Li3CrSi2O7 (GGA+U)

Data for crystalline Li3CrSi2O7 at its relaxed geometry.

```
data_Li3CrSi2O7
_chemical_formula_sum 'Li18 Cr6 Si12 O42'
_cell_length_a 8.5831
_cell_length_b 8.5831
_cell_length_c 12.9823
_cell_angle_alpha 90.00
_cell_angle_beta 90.00
_cell_angle_gamma 120.00
_symmetry_space_group_name_H-M 'P 63'
_symmetry_Int_Tables_number 173
_symmetry_space_group_name_Hall 'P 6c'
loop_
_atom_site_label
_atom_site_type_symbol
_atom_site_fract_x
_atom_site_fract_y
_atom_site_fract_z
_atom_site_occupancy
Li1 Li 0.0000 0.0000 0.0000 1
Li2 Li 0.0234 0.6905 0.0989 1
Li3 Li 0.0247 0.6911 0.4301 1
Li4 Li 0.3333 0.6667 0.2664 1
Li5 Li 0.3333 0.6667 0.7494 1
Cr1 Cr 0.0000 0.0000 0.2643 1
Cr2 Cr 0.3333 0.6667 0.0427 1
Cr3 Cr 0.3333 0.6667 0.4884 1
Si1 Si 0.0234 0.6736 0.6527 1
Si2 Si 0.0269 0.6744 0.8788 1
O1 O 0.0681 0.2014 0.3756 1
O2 O 0.0735 0.2045 0.1582 1
O3 O 0.1204 0.5385 0.3933 1
O4 O 0.1207 0.5396 0.1379 1
O5 O 0.1273 0.6920 0.7653 1
O6 O 0.1878 0.7566 0.5683 1
O7 O 0.1894 0.7583 0.9638 1
```

Values from the calculation:
total magnetic moment: 3.00 μB per formula unit
calculated volume: 10.6 Å³/atom
total DFT energy (no corrections): -6.94 eV/atom
ΔE to the lowest computed polymorph: 0 meV/atom
DFT formation energy: -2786 meV per atom

[3]
## CrBi12Mo4PbO34 (GGA+U)

Data for crystalline CrBi12Mo4PbO34 at its relaxed geometry.

```
data_CrBi12Mo4PbO34
_chemical_formula_sum 'Cr2 Bi24 Mo8 Pb2 O68'
_cell_length_a 11.829
_cell_length_b 5.893
_cell_length_c 25.257
_cell_angle_alpha 90.00
_cell_angle_beta 101.88
_cell_angle_gamma 90.00
_symmetry_space_group_name_H-M 'P 1 2/c 1'
_symmetry_Int_Tables_number 13
_symmetry_space_group_name_Hall '-P 2yc'
loop_
_atom_site_label
_atom_site_type_symbol
_atom_site_fract_x
_atom_site_fract_y
_atom_site_fract_z
_atom_site_occupancy
Cr1 Cr 0.000 0.014 0.250 1
Bi1 Bi 0.138 0.488 0.679 1
Bi2 Bi 0.230 0.488 0.841 1
Bi3 Bi 0.256 0.023 0.101 1
Bi4 Bi 0.341 0.078 0.755 1
Bi5 Bi 0.418 0.016 0.408 1
Bi6 Bi 0.460 0.423 0.174 1
Mo1 Mo 0.074 0.000 0.422 1
Mo2 Mo 0.337 0.479 0.513 1
Pb1 Pb 0.000 0.500 0.000 1
O1 O 0.001 0.152 0.803 1
O2 O 0.001 0.273 0.917 1
O3 O 0.031 0.218 0.103 1
O4 O 0.118 0.180 0.260 1
O5 O 0.124 0.068 0.491 1
O6 O 0.196 0.005 0.889 1
O7 O 0.215 0.430 0.040 1
O8 O 0.243 0.404 0.758 1
O9 O 0.263 0.229 0.664 1
O10 O 0.272 0.275 0.167 1
O11 O 0.296 0.462 0.441 1
O12 O 0.363 0.265 0.342 1
O13 O 0.371 0.244 0.846 1
O14 O 0.387 0.213 0.546 1
O15 O 0.439 0.075 0.133 1
O16 O 0.446 0.311 0.032 1
O17 O 0.500 0.240 0.250 1
O18 O 0.500 0.269 0.750 1
```

Values from the calculation:
total magnetic moment: 0.03 μB per formula unit
calculated volume: 16.6 Å³/atom
total DFT energy (no corrections): -6.29 eV/atom
DFT formation energy: -1805 meV per atom

[4]
## Li9Mn2Co5O16 (GGA+U)

Data for crystalline Li9Mn2Co5O16 at its relaxed geometry.

```
data_Li9Mn2Co5O16
_chemical_formula_sum 'Li9 Mn2 Co5 O16'
_cell_length_a 5.014
_cell_length_b 5.137
_cell_length_c 11.471
_cell_angle_alpha 80.53
_cell_angle_beta 84.97
_cell_angle_gamma 80.40
_symmetry_space_group_name_H-M 'P -1'
_symmetry_Int_Tables_number 2
_symmetry_space_group_name_Hall '-P 1'
loop_
_atom_site_label
_atom_site_type_symbol
_atom_site_fract_x
_atom_site_fract_y
_atom_site_fract_z
_atom_site_occupancy
Li1 Li 0.000 0.000 0.000 1
Li2 Li 0.238 0.939 0.566 1
Li3 Li 0.239 0.439 0.056 1
Li4 Li 0.251 0.188 0.308 1
Li5 Li 0.252 0.689 0.823 1
Mn1 Mn 0.498 0.373 0.625 1
Co1 Co 0.000 0.500 0.500 1
Co2 Co 0.008 0.763 0.241 1
Co3 Co 0.487 0.127 0.883 1
O1 O 0.128 0.069 0.165 1
O2 O 0.134 0.564 0.646 1
O3 O 0.135 0.341 0.897 1
O4 O 0.141 0.811 0.411 1
O5 O 0.367 0.311 0.474 1
O6 O 0.379 0.060 0.711 1
O7 O 0.381 0.540 0.234 1
O8 O 0.394 0.792 0.969 1
```

Values from the calculation:
total magnetic moment: 18.00 μB per formula unit
calculated volume: 9.0 Å³/atom
total DFT energy (no corrections): -5.81 eV/atom
ΔE to the lowest computed polymorph: 48 meV/atom
DFT formation energy: -1816 meV per atom

[5]
## MgFeBiO3 (GGA+U)

Data for crystalline MgFeBiO3 at its relaxed geometry.

```
data_MgFeBiO3
_chemical_formula_sum 'Mg1 Fe1 Bi1 O3'
_cell_length_a 3.982
_cell_length_b 3.982
_cell_length_c 7.145
_cell_angle_alpha 90.00
_cell_angle_beta 90.00
_cell_angle_gamma 90.00
_symmetry_space_group_name_H-M 'P 4 m m'
_symmetry_Int_Tables_number 99
_symmetry_space_group_name_Hall 'P 4 -2'
loop_
_atom_site_label
_atom_site_type_symbol
_atom_site_fract_x
_atom_site_fract_y
_atom_site_fract_z
_atom_site_occupancy
Mg1 Mg 0.000 0.000 0.000 1
Fe1 Fe 0.000 0.000 0.454 1
Bi1 Bi 0.500 0.500 0.833 1
O1 O 0.000 0.000 0.707 1
O2 O 0.000 0.500 0.001 1
```

Values from the calculation:
total magnetic moment: 4.13 μB per formula unit
calculated volume: 18.9 Å³/atom
total DFT energy (no corrections): -5.41 eV/atom
ΔE to the lowest computed polymorph: 219 meV/atom
DFT formation energy: -1329 meV per atom

[6]
## LiMnF4 (GGA+U)

Data for crystalline LiMnF4 at its relaxed geometry.

```
data_LiMnF4
_chemical_formula_sum 'Li4 Mn4 F16'
_cell_length_a 4.564
_cell_length_b 11.565
_cell_length_c 5.350
_cell_angle_alpha 90.00
_cell_angle_beta 90.00
_cell_angle_gamma 90.00
_symmetry_space_group_name_H-M 'P b c n'
_symmetry_Int_Tables_number 60
_symmetry_space_group_name_Hall '-P 2n 2ab'
loop_
_atom_site_label
_atom_site_type_symbol
_atom_site_fract_x
_atom_site_fract_y
_atom_site_fract_z
_atom_site_occupancy
Li1 Li 0.000 0.174 0.250 1
Mn1 Mn 0.000 0.428 0.250 1
F1 F 0.225 0.314 0.098 1
F2 F 0.236 0.452 0.601 1
```

Values from the calculation:
total magnetic moment: 4.00 μB per formula unit
calculated volume: 11.8 Å³/atom
total DFT energy (no corrections): -5.44 eV/atom
DFT formation energy: -2900 meV per atom

Question: Number 3 is which compound?
Answer: CrBi12Mo4PbO34